## KNa2AlH6 (PBE)

Data for KNa2AlH6 after structural relaxation.

Cell lengths 7.2122, 4.6926, 10.6154 Å; angles 90.00, 100.08, 90.00 degrees
With the nearest neighbours (Å) after each atom.
Sites, in units of the cell vectors:
K: 0.1334 0.0000 0.2674  3 H 2.51-2.62
K: 0.8666 0.5000 0.7326  3 H 2.51-2.62
Na: 0.2880 0.9489 0.6936  3 H 2.14-2.34
Na: 0.4363 0.3615 0.9104  3 H 2.14-2.27
Na: 0.5637 0.8615 0.0896  3 H 2.14-2.27
Na: 0.7120 0.4489 0.3064  3 H 2.14-2.34
Al: 0.4050 0.4988 0.4885  2 H 1.67-1.68
Al: 0.5950 0.9988 0.5115  2 H 1.67-1.68
H: 0.0049 0.3333 0.0469  1 H 0.77
H: 0.0604 0.2732 0.9975  1 H 0.77
H: 0.1634 0.2289 0.8148  2 Na 2.14, 1 H 2.20
H: 0.2455 0.5173 0.5866  1 Al 1.68
H: 0.2618 0.4968 0.3466  1 Al 1.67
H: 0.4917 0.3155 0.1271  3 Na 2.25-2.34
H: 0.5083 0.8155 0.8729  3 Na 2.25-2.34
H: 0.7382 0.9968 0.6534  1 Al 1.67
H: 0.7545 0.0173 0.4134  1 Al 1.68
H: 0.8366 0.7289 0.1852  2 Na 2.14, 1 H 2.20
H: 0.9396 0.7732 0.0025  1 H 0.77
H: 0.9951 0.8333 0.9531  1 H 0.77

Computed properties:
- excess energy over the best structure of this formula in the dataset (eV/atom) = 0.147
- total energy after the MP2020 corrections (eV/atom) = -2.93
- space-group type = P2_1, No. 4
- DFT formation energy (eV per atom) = -0.15

***

## ErNi4B (PBE)

Data for ErNi4B after structural relaxation.

Cell lengths 4.9414, 4.9414, 6.9452 Å; angles 90.00, 90.00, 120.00 degrees
With the nearest neighbours (Å) after each atom.
Sites, in units of the cell vectors:
Er: 0.0000 0.0000 0.0000  6 B 2.85, 12 Ni 2.86
Er: 0.0000 0.0000 0.5000  18 Ni 2.85-3.19
Ni: 0.0000 0.5000 0.2084  2 B 2.03
Ni: 0.0000 0.5000 0.7916  2 B 2.03
Ni: 0.3333 0.6667 0.5000  6 Ni 2.48
Ni: 0.5000 0.0000 0.2084  2 B 2.03
Ni: 0.5000 0.0000 0.7916  2 B 2.03
Ni: 0.5000 0.5000 0.2084  2 B 2.03
Ni: 0.5000 0.5000 0.7916  2 B 2.03
Ni: 0.6667 0.3333 0.5000  6 Ni 2.48
B: 0.3333 0.6667 0.0000  6 Ni 2.03
B: 0.6667 0.3333 0.0000  6 Ni 2.03

Computed properties:
- space-group type = P6/mmm, No. 191
- DFT formation energy (eV per atom) = -0.51

***

## BaTbEuSbO6 (PBE)

Data for BaTbEuSbO6 after structural relaxation.

Cell lengths 5.9939, 5.9939, 5.9939 Å; angles 60.00, 60.00, 60.00 degrees
With the nearest neighbours (Å) after each atom.
Sites, in units of the cell vectors:
Ba: 0.0000 0.0000 0.0000  12 O 3.00
Tb: 0.2500 0.2500 0.2500  6 O 2.23
Eu: 0.5000 0.5000 0.5000  12 O 3.00
Sb: 0.7500 0.7500 0.7500  6 O 2.00
O: 0.5135 0.5135 0.9865  1 Sb 2.00, 1 Tb 2.23
O: 0.5135 0.9865 0.5135  1 Sb 2.00, 1 Tb 2.23
O: 0.5135 0.9865 0.9865  1 Sb 2.00, 1 Tb 2.23
O: 0.9865 0.5135 0.5135  1 Sb 2.00, 1 Tb 2.23
O: 0.9865 0.5135 0.9865  1 Sb 2.00, 1 Tb 2.23
O: 0.9865 0.9865 0.5135  1 Sb 2.00, 1 Tb 2.23

Computed properties:
- excess energy over the best structure of this formula in the dataset (eV/atom) = 0.022
- total energy after the MP2020 corrections (eV/atom) = -8.09
- space-group type = F-43m, No. 216
- DFT formation energy (eV per atom) = -3.03

***

## Tl3Ru (PBE)

Data for Tl3Ru after structural relaxation.

Cell lengths 6.3810, 6.3810, 5.2982 Å; angles 90.00, 90.00, 120.00 degrees
With the nearest neighbours (Å) after each atom.
Sites, in units of the cell vectors:
Tl: 0.1724 0.3448 0.2500  8 Tl 3.08-3.30, 4 Ru 3.19
Tl: 0.1724 0.8276 0.2500  8 Tl 3.08-3.30, 4 Ru 3.19
Tl: 0.3448 0.1724 0.7500  8 Tl 3.08-3.30, 4 Ru 3.19
Tl: 0.6552 0.8276 0.2500  8 Tl 3.08-3.30, 4 Ru 3.19
Tl: 0.8276 0.1724 0.7500  8 Tl 3.08-3.30, 4 Ru 3.19
Tl: 0.8276 0.6552 0.7500  8 Tl 3.08-3.30, 4 Ru 3.19
Ru: 0.3333 0.6667 0.7500  12 Tl 3.19
Ru: 0.6667 0.3333 0.2500  12 Tl 3.19

Computed properties:
- space-group type = P6_3/mmc, No. 194
- DFT formation energy (eV per atom) = 0.65

***

- Look up the DFT formation energy of the first one.
  -0.15 eV per atom